Entry 1:
The following is a DFT calculation (PBE) of PrCo4B4 after structural relaxation.

a b c (Å): 7.0823 7.0823 3.7879
angles (deg): 90.00 90.00 90.00
Atoms (fractional coordinates):
Pr  0.0000  0.0000  0.0000
Pr  0.5000  0.5000  0.5000
Co  0.8575  0.3852  0.1057
Co  0.1425  0.6148  0.1057
Co  0.8852  0.6425  0.6057
Co  0.1148  0.3575  0.6057
Co  0.6425  0.1148  0.3943
Co  0.3575  0.8852  0.3943
Co  0.6148  0.8575  0.8943
Co  0.3852  0.1425  0.8943
B  0.3380  0.7962  0.8968
B  0.6620  0.2038  0.8968
B  0.2962  0.1620  0.3968
B  0.7038  0.8380  0.3968
B  0.1620  0.7038  0.6032
B  0.8380  0.2962  0.6032
B  0.2038  0.3380  0.1032
B  0.7962  0.6620  0.1032

Results
volume = 190.0 Å³/cell
energy of formation = -0.446 eV/atom
final energy = -7.10 eV/atom

---

Entry 2:
The following is a DFT calculation (PBE) of PrCo2B2 after structural relaxation.

a b c (Å): 3.5909 3.5909 5.6487
angles (deg): 108.53 108.53 90.00
Atoms (fractional coordinates):
Pr  0.0000  0.0000  0.0000
Co  0.2500  0.7500  0.5000
Co  0.7500  0.2500  0.5000
B  0.6645  0.6645  0.3290
B  0.3355  0.3355  0.6710

Results
volume = 65.1 Å³/cell
energy of formation = -0.473 eV/atom
final energy = -6.94 eV/atom

---

Entry 3:
The following is a DFT calculation (PBE) of Pr2Co14B after structural relaxation.

a b c (Å): 8.6186 8.6186 11.8287
angles (deg): 90.00 90.00 90.00
Atoms (fractional coordinates):
Pr  0.2253  0.7747  0.5000
Pr  0.7747  0.2253  0.5000
Pr  0.2747  0.2747  0.0000
Pr  0.7253  0.7253  0.0000
Pr  0.6446  0.6446  0.5000
Pr  0.3554  0.3554  0.5000
Pr  0.8554  0.1446  0.0000
Pr  0.1446  0.8554  0.0000
Co  0.0000  0.5000  0.5000
Co  0.5000  0.0000  0.0000
Co  0.5000  0.0000  0.5000
Co  0.0000  0.5000  0.0000
Co  0.5000  0.5000  0.1160
Co  0.0000  0.0000  0.6160
Co  0.5000  0.5000  0.8840
Co  0.0000  0.0000  0.3840
Co  0.1820  0.8180  0.2531
Co  0.8180  0.1820  0.2531
Co  0.3180  0.3180  0.7531
Co  0.6820  0.6820  0.7531
Co  0.8180  0.1820  0.7469
Co  0.1820  0.8180  0.7469
Co  0.6820  0.6820  0.2469
Co  0.3180  0.3180  0.2469
Co  0.4012  0.5988  0.2934
Co  0.5988  0.4012  0.2934
Co  0.0988  0.0988  0.7934
Co  0.9012  0.9012  0.7934
Co  0.5988  0.4012  0.7066
Co  0.4012  0.5988  0.7066
Co  0.9012  0.9012  0.2066
Co  0.0988  0.0988  0.2066
Co  0.1394  0.5363  0.3205
Co  0.8606  0.4637  0.3205
Co  0.3606  0.0363  0.8205
Co  0.6394  0.9637  0.8205
Co  0.8606  0.4637  0.6795
Co  0.1394  0.5363  0.6795
Co  0.6394  0.9637  0.1795
Co  0.3606  0.0363  0.1795
Co  0.5363  0.1394  0.3205
Co  0.4637  0.8606  0.3205
Co  0.0363  0.3606  0.8205
Co  0.9637  0.6394  0.8205
Co  0.4637  0.8606  0.6795
Co  0.5363  0.1394  0.6795
Co  0.9637  0.6394  0.1795
Co  0.0363  0.3606  0.1795
Co  0.9305  0.7245  0.3728
Co  0.0695  0.2755  0.3728
Co  0.5695  0.2245  0.8728
Co  0.4305  0.7755  0.8728
Co  0.0695  0.2755  0.6272
Co  0.9305  0.7245  0.6272
Co  0.4305  0.7755  0.1272
Co  0.5695  0.2245  0.1272
Co  0.7245  0.9305  0.3728
Co  0.2755  0.0695  0.3728
Co  0.2245  0.5695  0.8728
Co  0.7755  0.4305  0.8728
Co  0.2755  0.0695  0.6272
Co  0.7245  0.9305  0.6272
Co  0.7755  0.4305  0.1272
Co  0.2245  0.5695  0.1272
B  0.8780  0.8780  0.5000
B  0.1220  0.1220  0.5000
B  0.6220  0.3780  0.0000
B  0.3780  0.6220  0.0000

Results
spin magnetization = 18.181 μB per formula unit
volume = 878.6 Å³/cell
energy of formation = -0.105 eV/atom
final energy = -6.91 eV/atom

---

Entry 4:
The following is a DFT calculation (PBE) of Pr5Co2B6 after structural relaxation.

a b c (Å): 8.9194 8.9194 8.9195
angles (deg): 35.85 35.85 35.85
Atoms (fractional coordinates):
Pr  0.5828  0.5828  0.5828
Pr  0.4172  0.4172  0.4172
Pr  0.7494  0.7494  0.7494
Pr  0.2506  0.2506  0.2506
Pr  0.0000  0.0000  0.0000
Co  0.8761  0.8761  0.8761
Co  0.1239  0.1239  0.1239
B  0.5000  0.8329  0.1671
B  0.1671  0.5000  0.8329
B  0.8329  0.1671  0.5000
B  0.5000  0.1671  0.8329
B  0.8329  0.5000  0.1671
B  0.1671  0.8329  0.5000

Results
volume = 217.7 Å³/cell
energy of formation = -0.392 eV/atom
final energy = -6.41 eV/atom

---

Entry 5:
The following is a DFT calculation (PBE) of Pr5Co19B6 after structural relaxation.

a b c (Å): 5.1387 5.1387 16.5702
angles (deg): 90.00 90.00 120.00
Atoms (fractional coordinates):
Pr  0.0000  0.0000  0.5000
Pr  0.0000  0.0000  0.2953
Pr  0.0000  0.0000  0.7047
Pr  0.0000  0.0000  0.0935
Pr  0.0000  0.0000  0.9065
Co  0.5000  0.0000  0.4135
Co  0.5000  0.5000  0.4135
Co  0.0000  0.5000  0.4135
Co  0.5000  0.0000  0.5865
Co  0.5000  0.5000  0.5865
Co  0.0000  0.5000  0.5865
Co  0.3333  0.6667  0.2942
Co  0.6667  0.3333  0.2942
Co  0.6667  0.3333  0.7058
Co  0.3333  0.6667  0.7058
Co  0.5000  0.0000  0.1741
Co  0.5000  0.5000  0.1741
Co  0.0000  0.5000  0.1741
Co  0.5000  0.0000  0.8259
Co  0.5000  0.5000  0.8259
Co  0.0000  0.5000  0.8259
Co  0.5000  0.0000  0.0000
Co  0.5000  0.5000  0.0000
Co  0.0000  0.5000  0.0000
B  0.3333  0.6667  0.5000
B  0.6667  0.3333  0.5000
B  0.3333  0.6667  0.0884
B  0.6667  0.3333  0.0884
B  0.6667  0.3333  0.9116
B  0.3333  0.6667  0.9116

Results
spin magnetization = 12.960 μB per formula unit
volume = 378.9 Å³/cell
energy of formation = -0.229 eV/atom
final energy = -6.86 eV/atom

---

Entry 6:
The following is a DFT calculation (PBE) of Pr3Co11B4 after structural relaxation.

a b c (Å): 5.1550 5.1550 9.7339
angles (deg): 90.00 90.00 120.00
Atoms (fractional coordinates):
Pr  0.0000  0.0000  0.6592
Pr  0.0000  0.0000  0.3408
Pr  0.0000  0.0000  0.0000
Co  0.5000  0.5000  0.5000
Co  0.0000  0.5000  0.5000
Co  0.5000  0.0000  0.2047
Co  0.5000  0.5000  0.2047
Co  0.0000  0.5000  0.2047
Co  0.5000  0.0000  0.7953
Co  0.5000  0.5000  0.7953
Co  0.0000  0.5000  0.7953
Co  0.3333  0.6667  0.0000
Co  0.6667  0.3333  0.0000
Co  0.5000  0.0000  0.5000
B  0.3333  0.6667  0.6500
B  0.6667  0.3333  0.6500
B  0.6667  0.3333  0.3500
B  0.3333  0.6667  0.3500

Results
spin magnetization = 6.741 μB per formula unit
volume = 224.0 Å³/cell
energy of formation = -0.253 eV/atom
final energy = -6.88 eV/atom

---

Entry 7:
The following is a DFT calculation (PBE) of Pr3Co29Si4B10 after structural relaxation.

a b c (Å): 11.1868 11.1868 7.8606
angles (deg): 90.00 90.00 90.00
Atoms (fractional coordinates):
Pr  0.2500  0.7500  0.0000
Pr  0.2500  0.2500  0.0000
Pr  0.7500  0.7500  0.0000
Pr  0.7500  0.2500  0.0000
Pr  0.0000  0.0000  0.5000
Pr  0.5000  0.5000  0.5000
Co  0.3382  0.6749  0.3374
Co  0.2747  0.0000  0.5252
Co  0.5000  0.7747  0.5252
Co  0.5000  0.2253  0.5252
Co  0.8363  0.5000  0.9718
Co  0.0000  0.6637  0.9718
Co  0.0000  0.3363  0.9718
Co  0.1637  0.5000  0.9718
Co  0.6637  0.0000  0.0282
Co  0.3363  0.0000  0.0282
Co  0.5000  0.8363  0.0282
Co  0.5000  0.1637  0.0282
Co  0.8864  0.3864  0.2531
Co  0.8864  0.6136  0.2531
Co  0.1136  0.3864  0.2531
Co  0.1136  0.6136  0.2531
Co  0.6136  0.8864  0.7469
Co  0.3864  0.1136  0.7469
Co  0.3864  0.8864  0.7469
Co  0.6136  0.1136  0.7469
Co  0.8905  0.3905  0.6982
Co  0.8905  0.6095  0.6982
Co  0.1095  0.3905  0.6982
Co  0.1095  0.6095  0.6982
Co  0.6095  0.8905  0.3018
Co  0.3905  0.1095  0.3018
Co  0.3905  0.8905  0.3018
Co  0.6095  0.1095  0.3018
Co  0.3382  0.3251  0.3374
Co  0.8251  0.1618  0.3374
Co  0.1749  0.8382  0.3374
Co  0.6618  0.6749  0.3374
Co  0.1618  0.8251  0.6626
Co  0.8382  0.1749  0.6626
Co  0.3251  0.3382  0.6626
Co  0.6102  0.5000  0.8890
Co  0.1618  0.1749  0.6626
Co  0.6749  0.3382  0.6626
Co  0.3251  0.6618  0.6626
Co  0.8382  0.8251  0.6626
Co  0.7253  0.0000  0.5252
Co  0.0000  0.8898  0.8890
Co  0.1749  0.1618  0.3374
Co  0.8251  0.8382  0.3374
Co  0.0000  0.1102  0.8890
Co  0.3898  0.5000  0.8890
Co  0.5000  0.0000  0.5309
Co  0.0000  0.5000  0.4691
Co  0.1102  0.0000  0.1110
Co  0.2253  0.5000  0.4748
Co  0.0000  0.2747  0.4748
Co  0.0000  0.7253  0.4748
Co  0.7747  0.5000  0.4748
Co  0.5000  0.6102  0.1110
Co  0.5000  0.3898  0.1110
Co  0.8898  0.0000  0.1110
Co  0.6749  0.6618  0.6626
Co  0.6618  0.3251  0.3374
Si  0.5000  0.6813  0.8240
Si  0.3187  0.5000  0.1760
Si  0.0000  0.1813  0.1760
Si  0.0000  0.8187  0.1760
Si  0.6813  0.5000  0.1760
Si  0.1813  0.0000  0.8240
Si  0.8187  0.0000  0.8240
Si  0.5000  0.3187  0.8240
B  0.6863  0.1863  0.5175
B  0.3137  0.8137  0.5175
B  0.3137  0.1863  0.5175
B  0.6863  0.8137  0.5175
B  0.1863  0.6863  0.4825
B  0.1863  0.3137  0.4825
B  0.5000  0.2559  0.2618
B  0.5000  0.7441  0.2618
B  0.2441  0.0000  0.2618
B  0.7559  0.0000  0.2618
B  0.2559  0.5000  0.7382
B  0.0000  0.2441  0.7382
B  0.0000  0.7559  0.7382
B  0.7441  0.5000  0.7382
B  0.5000  0.0000  0.1483
B  0.0000  0.5000  0.8517
B  0.5000  0.0000  0.8933
B  0.0000  0.5000  0.1067
B  0.8137  0.6863  0.4825
B  0.8137  0.3137  0.4825

Results
spin magnetization = 18.966 μB per formula unit
volume = 983.7 Å³/cell
energy of formation = -0.390 eV/atom
final energy = -7.11 eV/atom

---

Entry 8:
The following is a DFT calculation (PBE) of CoReB after structural relaxation.

a b c (Å): 3.2916 5.6266 6.5077
angles (deg): 90.00 90.00 90.00
Atoms (fractional coordinates):
Co  0.7500  0.8545  0.5557
Co  0.2500  0.1455  0.4443
Co  0.7500  0.3545  0.9443
Co  0.2500  0.6455  0.0557
Re  0.2500  0.5289  0.6718
Re  0.7500  0.4711  0.3282
Re  0.2500  0.0289  0.8282
Re  0.7500  0.9711  0.1718
B  0.2500  0.2684  0.1247
B  0.7500  0.7316  0.8753
B  0.2500  0.7684  0.3753
B  0.7500  0.2316  0.6247

Results
spin magnetization = 0.002 μB per formula unit
volume = 120.5 Å³/cell
energy of formation = -0.275 eV/atom
final energy = -9.02 eV/atom